(1)
88
Lattice="8.300 0.000 0.000 0.000 17.223 0.000 0.000 0.000 8.383" Properties=species:S:1:pos:R:3 comment="LiSbP2O7, optimized geometry, DFT GGA-PBE" magmom_total_mub_per_cell=0.0 space_group="Pna2_1, No. 33" pbc="T T T"
Li 1.518 4.200 0.000
Li 1.660 4.359 3.728
Li 2.490 12.971 7.920
Li 2.632 12.812 4.192
Li 5.668 4.411 0.000
Li 5.810 4.252 3.728
Li 6.640 12.864 7.920
Li 6.783 13.023 4.192
Sb 0.106 15.294 1.149
Sb 0.118 10.637 5.328
Sb 4.032 2.026 1.137
Sb 4.044 6.683 5.340
Sb 4.256 10.540 1.149
Sb 4.268 15.197 5.328
Sb 8.182 6.586 1.137
Sb 8.194 1.929 5.340
P 0.696 5.489 6.217
P 0.765 13.921 6.120
P 0.772 1.303 0.294
P 1.006 10.004 0.238
P 3.144 1.392 4.430
P 3.378 9.915 4.485
P 3.385 5.310 1.929
P 3.454 14.100 2.026
P 4.846 3.123 6.217
P 4.915 11.913 6.120
P 4.922 7.308 0.294
P 5.156 15.831 0.238
P 7.294 7.219 4.430
P 7.528 15.920 4.485
P 7.535 3.302 1.929
P 7.604 11.734 2.026
O 0.016 8.326 4.284
O 0.029 13.765 7.436
O 0.136 1.226 7.295
O 0.368 15.320 5.448
O 0.394 12.815 5.076
O 0.408 3.994 6.415
O 0.637 10.984 1.521
O 1.033 6.067 7.624
O 1.104 10.964 7.400
O 1.143 17.181 0.876
O 1.743 0.896 4.844
O 1.794 5.712 5.180
O 1.867 5.369 2.069
O 1.979 2.289 0.338
O 2.171 10.900 4.530
O 2.283 13.981 6.260
O 2.356 14.324 0.988
O 2.407 9.508 0.652
O 3.007 8.569 5.068
O 3.046 2.352 3.208
O 3.117 14.678 3.433
O 3.513 2.372 5.713
O 3.742 12.605 2.223
O 3.756 4.203 0.884
O 3.782 6.708 1.256
O 4.014 9.837 3.104
O 4.121 5.153 3.244
O 4.134 16.938 0.092
O 4.166 0.285 4.284
O 4.179 12.070 7.436
O 4.286 7.386 7.295
O 4.518 10.515 5.448
O 4.544 13.020 5.076
O 4.558 4.618 6.415
O 4.787 14.851 1.521
O 5.183 2.545 7.624
O 5.254 14.871 7.400
O 5.293 8.654 0.876
O 5.893 7.716 4.844
O 5.944 2.899 5.180
O 6.017 3.242 2.069
O 6.129 6.323 0.338
O 6.321 14.934 4.530
O 6.433 11.854 6.260
O 6.506 11.511 0.988
O 6.557 16.327 0.652
O 7.157 0.042 5.068
O 7.196 6.260 3.208
O 7.267 11.156 3.433
O 7.663 6.239 5.713
O 7.892 13.229 2.223
O 7.906 4.408 0.884
O 7.932 1.903 1.256
O 8.164 15.997 3.104
O 8.271 3.458 3.244
O 8.284 8.897 0.092

(2)
20
Lattice="6.638 0.000 -2.925 0.000 12.001 0.000 -1.548 0.000 7.102" Properties=species:S:1:pos:R:3 comment="YMgS3, optimized geometry, DFT GGA-PBE" magmom_total_mub_per_cell=0.0 pbc="T T T"
Mg 3.319 10.053 -1.462
Y 1.594 6.000 3.802
S 3.748 1.989 3.537
S 1.342 10.012 0.640
Mg 0.000 7.949 0.000
Y 0.177 0.000 1.838
S 4.661 4.012 -0.822
S 1.008 6.000 1.251
S 4.082 6.000 2.926
S 0.429 4.012 4.999
S 4.661 7.989 -0.822
Mg 0.000 4.052 0.000
S 4.327 0.000 -0.212
S 1.342 1.989 0.640
S 3.748 10.012 3.537
S 0.763 0.000 4.389
Y 4.913 0.000 2.339
S 0.429 7.989 4.999
Mg 3.319 1.948 -1.462
Y 3.496 6.000 0.375

(3)
16
Lattice="8.124 0.000 0.000 0.000 7.528 0.000 0.000 0.000 6.327" Properties=species:S:1:pos:R:3 comment="NbFeTe2, optimized geometry, DFT GGA-PBE" magmom_total_mub_per_cell=7.4 space_group="Pmna, No. 53" pbc="T T T"
Nb 1.656 0.000 0.000
Nb 2.406 0.000 3.163
Nb 5.718 0.000 3.163
Nb 6.469 0.000 0.000
Fe 0.000 0.836 2.264
Fe 0.000 6.692 4.063
Fe 4.062 0.836 0.900
Fe 4.062 6.692 5.427
Te 0.000 1.680 4.765
Te 0.000 5.848 1.562
Te 2.031 2.358 1.582
Te 2.031 5.170 4.745
Te 4.062 1.680 4.725
Te 4.062 5.848 1.602
Te 6.093 2.358 1.582
Te 6.093 5.170 4.745

(4)
92
Lattice="18.930 0.000 0.000 0.000 14.217 0.000 0.000 0.000 9.970" Properties=species:S:1:pos:R:3 comment="RbZr6CCl15, optimized geometry, DFT GGA-PBE" magmom_total_mub_per_cell=0.0 space_group="Pmma, No. 51" pbc="T T T"
Rb 4.733 3.521 1.734
Rb 4.733 10.695 1.734
Rb 14.198 3.521 8.236
Rb 14.198 10.695 8.236
Zr 0.570 1.630 8.438
Zr 0.570 12.587 8.438
Zr 2.129 0.000 0.801
Zr 3.098 5.475 6.618
Zr 3.098 8.742 6.618
Zr 4.733 7.108 4.336
Zr 4.733 7.108 8.874
Zr 6.367 5.475 6.618
Zr 6.367 8.742 6.618
Zr 7.336 0.000 0.801
Zr 8.895 1.630 8.438
Zr 8.895 12.587 8.438
Zr 10.035 1.630 1.532
Zr 10.035 12.587 1.532
Zr 11.594 0.000 9.169
Zr 12.563 5.475 3.352
Zr 12.563 8.742 3.352
Zr 14.198 7.108 1.096
Zr 14.198 7.108 5.634
Zr 15.832 5.475 3.352
Zr 15.832 8.742 3.352
Zr 16.801 0.000 9.169
Zr 18.361 1.630 1.532
Zr 18.361 12.587 1.532
C 0.000 0.000 0.000
C 4.733 7.108 6.601
C 9.465 0.000 0.000
C 14.198 7.108 3.369
Cl 0.000 3.578 0.000
Cl 0.000 10.638 0.000
Cl 1.145 7.108 6.611
Cl 1.228 3.547 6.666
Cl 1.228 10.670 6.666
Cl 1.249 0.000 6.603
Cl 1.769 1.794 2.586
Cl 1.769 12.423 2.586
Cl 2.916 5.327 4.061
Cl 2.916 8.890 4.061
Cl 2.943 5.333 9.164
Cl 2.943 8.884 9.164
Cl 3.004 1.769 9.177
Cl 3.004 12.448 9.177
Cl 4.733 0.000 1.778
Cl 4.733 3.524 6.536
Cl 4.733 7.108 1.627
Cl 4.733 10.693 6.536
Cl 6.461 1.769 9.177
Cl 6.461 12.448 9.177
Cl 6.522 5.333 9.164
Cl 6.522 8.884 9.164
Cl 6.550 5.327 4.061
Cl 6.550 8.890 4.061
Cl 7.696 1.794 2.586
Cl 7.696 12.423 2.586
Cl 8.216 0.000 6.603
Cl 8.237 3.547 6.666
Cl 8.237 10.670 6.666
Cl 8.321 7.108 6.611
Cl 9.465 3.578 0.000
Cl 9.465 10.638 0.000
Cl 10.610 7.108 3.359
Cl 10.693 3.547 3.304
Cl 10.693 10.670 3.304
Cl 10.714 0.000 3.367
Cl 11.234 1.794 7.384
Cl 11.234 12.423 7.384
Cl 12.381 5.327 5.909
Cl 12.381 8.890 5.909
Cl 12.408 5.333 0.806
Cl 12.408 8.884 0.806
Cl 12.469 1.769 0.793
Cl 12.469 12.448 0.793
Cl 14.198 0.000 8.191
Cl 14.198 3.524 3.434
Cl 14.198 7.108 8.343
Cl 14.198 10.693 3.434
Cl 15.926 1.769 0.793
Cl 15.926 12.448 0.793
Cl 15.987 5.333 0.806
Cl 15.987 8.884 0.806
Cl 16.015 5.327 5.909
Cl 16.015 8.890 5.909
Cl 17.161 1.794 7.384
Cl 17.161 12.423 7.384
Cl 17.681 0.000 3.367
Cl 17.702 3.547 3.304
Cl 17.702 10.670 3.304
Cl 17.786 7.108 3.359

(5)
12
Lattice="3.220 0.000 0.000 -1.610 2.789 0.000 0.000 0.000 36.375" Properties=species:S:1:pos:R:3 comment="MoWSeS3, optimized geometry, DFT GGA-PBE" magmom_total_mub_per_cell=0.0 space_group="P3m1, No. 156" pbc="T T T"
Mo 0.000 0.000 0.000
Mo 0.000 1.859 6.834
W 0.000 0.000 13.668
W 0.000 1.859 20.502
Se 0.000 0.000 5.124
Se 0.000 0.000 8.544
S 0.000 0.000 18.940
S 0.000 0.000 22.065
S 0.000 1.859 1.557
S 0.000 1.859 12.107
S 0.000 1.859 15.230
S 0.000 1.859 34.818

(6)
16
Lattice="5.547 -5.122 0.000 5.547 5.122 0.000 -0.079 0.000 8.987" Properties=species:S:1:pos:R:3 comment="RbCdH2I3O, optimized geometry, DFT GGA-PBE" magmom_total_mub_per_cell=0.0 space_group="Cc, No. 9" pbc="T T T"
Rb 5.508 3.990 4.493
Rb 5.547 -3.990 0.000
Cd 4.343 0.346 7.423
Cd 4.382 -0.346 2.929
H 4.833 3.159 1.319
H 6.386 3.161 1.330
H 4.794 -3.159 5.813
H 6.346 -3.161 5.823
I 3.338 2.951 7.472
I 2.460 1.684 2.981
I 2.421 -1.684 7.475
I 6.151 0.073 5.188
I 6.190 -0.073 0.695
I 3.377 -2.951 2.979
O 5.601 3.712 1.566
O 5.561 -3.712 6.059

Going through the records in order, we get energy of formation from the pure elements values of -2.444; -1.518; -0.536; -2.205; -1.034; -1.074 eV/atom.
Going through the records in order, we get MP2020-corrected energy values of -7.13; -5.61; -6.75; -6.08; -7.65; -3.35 eV per atom.